[1]
VASP calculation (meta-GGA r2SCAN) on a relaxed structure of Tb5CoSb2.

Cell: 12.215 8.769 7.945 Å, 90.00 90.00 90.00°
Fractional coordinates of all 32 atoms:
Tb: 0.002 0.250 0.047
Tb: 0.065 0.536 0.322
Tb: 0.065 0.964 0.322
Tb: 0.194 0.250 0.623
Tb: 0.202 0.750 0.654
Tb: 0.298 0.250 0.154
Tb: 0.306 0.750 0.123
Tb: 0.435 0.036 0.822
Tb: 0.435 0.464 0.822
Tb: 0.498 0.750 0.547
Tb: 0.502 0.250 0.453
Tb: 0.565 0.536 0.178
Tb: 0.565 0.964 0.178
Tb: 0.694 0.250 0.877
Tb: 0.702 0.750 0.846
Tb: 0.798 0.250 0.346
Tb: 0.806 0.750 0.377
Tb: 0.935 0.036 0.678
Tb: 0.935 0.464 0.678
Tb: 0.998 0.750 0.953
Co: 0.010 0.250 0.435
Co: 0.490 0.750 0.935
Co: 0.510 0.250 0.065
Co: 0.990 0.750 0.565
Sb: 0.173 0.008 0.929
Sb: 0.173 0.492 0.929
Sb: 0.327 0.508 0.429
Sb: 0.327 0.992 0.429
Sb: 0.673 0.008 0.571
Sb: 0.673 0.492 0.571
Sb: 0.827 0.508 0.071
Sb: 0.827 0.992 0.071

Calculated values
* DFT formation energy: -0.793 eV per atom



[2]
VASP calculation (meta-GGA r2SCAN) on a relaxed structure of LaBPt4.

Cell: 5.490 5.490 7.699 Å, 90.00 90.00 120.00°
Fractional coordinates of all 12 atoms:
La: 0.000 0.000 0.000
La: 0.000 0.000 0.500
B: 0.333 0.667 0.000
B: 0.667 0.333 0.000
Pt: 0.000 0.500 0.200
Pt: 0.000 0.500 0.800
Pt: 0.333 0.667 0.500
Pt: 0.500 0.000 0.200
Pt: 0.500 0.000 0.800
Pt: 0.500 0.500 0.200
Pt: 0.500 0.500 0.800
Pt: 0.667 0.333 0.500

Calculated values
* DFT formation energy: -0.905 eV per atom



[3]
VASP calculation (meta-GGA r2SCAN) on a relaxed structure of WI2.

Cell: 10.494 10.494 12.794 Å, 90.00 90.00 75.18°
Fractional coordinates of all 36 atoms:
W: 0.067 0.933 0.869
W: 0.113 0.113 0.000
W: 0.131 0.869 0.067
W: 0.369 0.631 0.567
W: 0.387 0.387 0.500
W: 0.433 0.567 0.369
W: 0.567 0.433 0.631
W: 0.613 0.613 0.500
W: 0.631 0.369 0.433
W: 0.869 0.131 0.933
W: 0.887 0.887 0.000
W: 0.933 0.067 0.131
I: 0.051 0.187 0.790
I: 0.091 0.671 0.932
I: 0.157 0.843 0.657
I: 0.171 0.591 0.432
I: 0.187 0.051 0.210
I: 0.217 0.217 0.500
I: 0.283 0.283 0.000
I: 0.313 0.449 0.710
I: 0.329 0.909 0.932
I: 0.343 0.657 0.157
I: 0.409 0.829 0.432
I: 0.449 0.313 0.290
I: 0.551 0.687 0.710
I: 0.591 0.171 0.568
I: 0.657 0.343 0.843
I: 0.671 0.091 0.068
I: 0.687 0.551 0.290
I: 0.717 0.717 0.000
I: 0.783 0.783 0.500
I: 0.813 0.949 0.790
I: 0.829 0.409 0.568
I: 0.843 0.157 0.343
I: 0.909 0.329 0.068
I: 0.949 0.813 0.210

Calculated values
* DFT formation energy: -0.253 eV per atom



[4]
VASP calculation (meta-GGA r2SCAN) on a relaxed structure of SmGa6.

Cell: 5.960 5.960 7.580 Å, 90.00 90.00 90.00°
Fractional coordinates of all 14 atoms:
Sm: 0.250 0.750 0.000
Sm: 0.750 0.250 0.000
Ga: 0.051 0.551 0.346
Ga: 0.051 0.949 0.654
Ga: 0.250 0.250 0.160
Ga: 0.250 0.250 0.840
Ga: 0.449 0.551 0.654
Ga: 0.449 0.949 0.346
Ga: 0.551 0.051 0.654
Ga: 0.551 0.449 0.346
Ga: 0.750 0.750 0.160
Ga: 0.750 0.750 0.840
Ga: 0.949 0.051 0.346
Ga: 0.949 0.449 0.654

Calculated values
* DFT formation energy: -0.384 eV per atom



Question: Look up the DFT formation energy of the second one.
Answer: -0.905 eV per atom